Entry 1:
A relaxed structure of LiTiCoF6, computed with PBE with a Hubbard U.

The value obtained for the volume is 312 Å³ per cell. The value obtained for the calculated formation energy is -3.07 eV/atom.

```
data_LiTiCoF6
_space_group_name_H-M_alt 'P 1'
_space_group_IT_number 1
_space_group_name_Hall 'P 1'
_cell_length_a 8.801
_cell_length_b 8.801
_cell_length_c 4.657
_cell_angle_alpha 90.00
_cell_angle_beta 90.00
_cell_angle_gamma 120.00
loop_
_atom_site_label
_atom_site_type_symbol
_atom_site_fract_x
_atom_site_fract_y
_atom_site_fract_z
Li1 Li 0.000 0.687 0.000
Li2 Li 0.313 0.313 0.000
Li3 Li 0.687 0.000 0.000
Ti1 Ti 0.000 0.345 0.500
Ti2 Ti 0.345 0.000 0.500
Ti3 Ti 0.655 0.655 0.500
Co1 Co 0.000 0.000 0.500
Co2 Co 0.333 0.667 0.992
Co3 Co 0.667 0.333 0.008
F1 F 0.101 0.552 0.741
F2 F 0.110 0.241 0.737
F3 F 0.131 0.890 0.737
F4 F 0.203 0.439 0.252
F5 F 0.236 0.797 0.252
F6 F 0.241 0.110 0.263
F7 F 0.439 0.203 0.748
F8 F 0.448 0.549 0.741
F9 F 0.451 0.899 0.741
F10 F 0.549 0.448 0.259
F11 F 0.552 0.101 0.259
F12 F 0.561 0.764 0.252
F13 F 0.759 0.869 0.737
F14 F 0.764 0.561 0.748
F15 F 0.797 0.236 0.748
F16 F 0.869 0.759 0.263
F17 F 0.890 0.131 0.263
F18 F 0.899 0.451 0.259
```


Entry 2:
A relaxed structure of Sr2Fe2O5, computed with PBE with a Hubbard U.

The value obtained for the volume is 254 Å³ per cell. The value obtained for the calculated formation energy is -2.36 eV/atom.

```
data_Sr2Fe2O5
_space_group_name_H-M_alt 'P 1'
_space_group_IT_number 1
_space_group_name_Hall 'P 1'
_cell_length_a 8.849
_cell_length_b 8.849
_cell_length_c 5.636
_cell_angle_alpha 108.17
_cell_angle_beta 108.17
_cell_angle_gamma 126.71
loop_
_atom_site_label
_atom_site_type_symbol
_atom_site_fract_x
_atom_site_fract_y
_atom_site_fract_z
Sr1 Sr 0.088 0.374 0.465
Sr2 Sr 0.374 0.088 0.465
Sr3 Sr 0.626 0.912 0.535
Sr4 Sr 0.912 0.626 0.535
Fe1 Fe 0.000 0.500 0.000
Fe2 Fe 0.314 0.314 0.988
Fe3 Fe 0.500 0.000 0.000
Fe4 Fe 0.686 0.686 0.012
O1 O 0.104 0.322 0.976
O2 O 0.254 0.746 0.500
O3 O 0.259 0.741 0.000
O4 O 0.322 0.104 0.976
O5 O 0.345 0.345 0.669
O6 O 0.655 0.655 0.331
O7 O 0.678 0.896 0.024
O8 O 0.741 0.259 0.000
O9 O 0.746 0.254 0.500
O10 O 0.896 0.678 0.024
```


Entry 3:
A relaxed structure of LiFeF4, computed with PBE with a Hubbard U.

The value obtained for the volume is 78 Å³ per cell. The value obtained for the calculated formation energy is -2.75 eV/atom.

```
data_LiFeF4
_space_group_name_H-M_alt 'P 1'
_space_group_IT_number 1
_space_group_name_Hall 'P 1'
_cell_length_a 5.597
_cell_length_b 5.597
_cell_length_c 5.475
_cell_angle_alpha 119.04
_cell_angle_beta 119.04
_cell_angle_gamma 31.93
loop_
_atom_site_label
_atom_site_type_symbol
_atom_site_fract_x
_atom_site_fract_y
_atom_site_fract_z
Li1 Li 0.000 0.000 0.000
Fe1 Fe 0.500 0.500 0.500
F1 F 0.116 0.116 0.745
F2 F 0.410 0.410 0.723
F3 F 0.590 0.590 0.277
F4 F 0.884 0.884 0.255
```


Entry 4:
A relaxed structure of Al2NiO4, computed with PBE with a Hubbard U.

The value obtained for the volume is 804 Å³ per cell. The value obtained for the calculated formation energy is -2.79 eV/atom.

```
data_Al2NiO4
_space_group_name_H-M_alt 'P 1'
_space_group_IT_number 1
_space_group_name_Hall 'P 1'
_cell_length_a 5.759
_cell_length_b 5.759
_cell_length_c 27.970
_cell_angle_alpha 90.20
_cell_angle_beta 90.20
_cell_angle_gamma 60.10
loop_
_atom_site_label
_atom_site_type_symbol
_atom_site_fract_x
_atom_site_fract_y
_atom_site_fract_z
Al1 Al 0.000 0.000 0.000
Al2 Al 0.000 0.000 0.502
Al3 Al 0.004 0.004 0.812
Al4 Al 0.005 0.505 0.563
Al5 Al 0.005 0.510 0.064
Al6 Al 0.010 0.010 0.624
Al7 Al 0.013 0.013 0.126
Al8 Al 0.172 0.672 0.397
Al9 Al 0.175 0.665 0.896
Al10 Al 0.332 0.332 0.669
Al11 Al 0.334 0.838 0.730
Al12 Al 0.335 0.335 0.169
Al13 Al 0.339 0.339 0.978
Al14 Al 0.339 0.839 0.231
Al15 Al 0.344 0.344 0.292
Al16 Al 0.505 0.005 0.563
Al17 Al 0.510 0.005 0.064
Al18 Al 0.665 0.175 0.896
Al19 Al 0.665 0.665 0.833
Al20 Al 0.667 0.667 0.336
Al21 Al 0.672 0.172 0.397
Al22 Al 0.677 0.677 0.458
Al23 Al 0.838 0.334 0.730
Al24 Al 0.839 0.339 0.231
Ni1 Ni 0.005 0.005 0.314
Ni2 Ni 0.172 0.172 0.397
Ni3 Ni 0.174 0.174 0.897
Ni4 Ni 0.339 0.339 0.480
Ni5 Ni 0.339 0.339 0.791
Ni6 Ni 0.505 0.505 0.563
Ni7 Ni 0.508 0.508 0.064
Ni8 Ni 0.671 0.671 0.647
Ni9 Ni 0.674 0.674 0.147
Ni10 Ni 0.674 0.674 0.960
Ni11 Ni 0.838 0.838 0.730
Ni12 Ni 0.839 0.839 0.230
O1 O 0.011 0.011 0.688
O2 O 0.014 0.518 0.436
O3 O 0.015 0.015 0.191
O4 O 0.041 0.505 0.938
O5 O 0.150 0.150 0.769
O6 O 0.159 0.663 0.524
O7 O 0.168 0.710 0.771
O8 O 0.171 0.171 0.269
O9 O 0.172 0.652 0.021
O10 O 0.174 0.174 0.525
O11 O 0.181 0.181 0.022
O12 O 0.185 0.681 0.269
O13 O 0.317 0.835 0.855
O14 O 0.330 0.330 0.603
O15 O 0.330 0.826 0.358
O16 O 0.332 0.332 0.103
O17 O 0.346 0.856 0.103
O18 O 0.347 0.347 0.357
O19 O 0.348 0.850 0.602
O20 O 0.349 0.349 0.860
O21 O 0.489 0.489 0.936
O22 O 0.490 0.996 0.691
O23 O 0.493 0.997 0.191
O24 O 0.503 0.503 0.435
O25 O 0.505 0.041 0.938
O26 O 0.505 0.505 0.692
O27 O 0.508 0.508 0.191
O28 O 0.518 0.014 0.436
O29 O 0.652 0.172 0.021
O30 O 0.662 0.662 0.769
O31 O 0.663 0.159 0.524
O32 O 0.664 0.664 0.270
O33 O 0.680 0.680 0.523
O34 O 0.681 0.185 0.269
O35 O 0.687 0.687 0.031
O36 O 0.710 0.168 0.771
O37 O 0.826 0.330 0.358
O38 O 0.835 0.317 0.855
O39 O 0.835 0.835 0.601
O40 O 0.841 0.841 0.358
O41 O 0.843 0.843 0.103
O42 O 0.844 0.844 0.856
O43 O 0.850 0.348 0.602
O44 O 0.856 0.346 0.103
O45 O 0.996 0.490 0.691
O46 O 0.997 0.493 0.191
O47 O 0.997 0.997 0.436
O48 O 0.997 0.997 0.935
```


no.,energy (eV/atom),ρ (Mg/m³)
1,-5.73,3.6
2,-6.48,4.8
3,-5.08,2.9
4,-6.76,4.4